VASP calculation (PBE-GGA) on a relaxed structure of Si2Mo.

Properties
Final energy: -0.5661 Ry/atom
Symmetry: P6_222, No. 180
Largest piezoelectric modulus: 0.66 C/m2

Lattice parameters (Å, degrees): 4.6165 4.6165 6.6175 90.00 90.00 120.00
Element x y z (fractional)
Si  0.1639  0.3279  0.5000
Si  0.6721  0.8361  0.1667
Si  0.3279  0.1639  0.1667
Mo  0.5000  0.5000  0.8333
Si  0.1639  0.8361  0.8333
Si  0.8361  0.1639  0.8333
Mo  0.0000  0.5000  0.1667
Mo  0.5000  0.0000  0.5000
Si  0.8361  0.6721  0.5000

VASP calculation (PBE-GGA) on a relaxed structure of CeSe2.

Properties
Final energy: -0.3846 Ry/atom
MP2020-corrected energy: -5.55 eV per atom
Symmetry: P-31c, No. 163

Lattice parameters (Å, degrees): 7.2144 19.0566 19.0566 120.00 90.00 90.00
Element x y z (fractional)
Se  0.0000  0.0000  0.5000
Se  0.5000  0.0000  0.5000
Ce  0.9781  0.3490  0.8605
Se  0.2500  0.3959  0.7917
Se  0.2500  0.7936  0.5871
Ce  0.0219  0.6510  0.1395
Se  0.7500  0.3893  0.6107
Ce  0.5219  0.3490  0.4885
Ce  0.0219  0.4885  0.3490
Ce  0.4781  0.8605  0.3490
Se  0.7500  0.7917  0.3959
Se  0.7500  0.6041  0.2083
Se  0.2500  0.7936  0.2064
Se  0.5000  0.5000  0.5000
Se  0.2500  0.7787  0.3893
Se  0.0000  0.5000  0.0000
Ce  0.9781  0.1395  0.4885
Se  0.7500  0.2213  0.6107
Se  0.7500  0.2064  0.4129
Se  0.2500  0.4129  0.2064
Se  0.5000  0.5000  0.0000
Se  0.2500  0.6107  0.2213
Ce  0.5219  0.1395  0.6510
Ce  0.0219  0.8605  0.5115
Se  0.2500  0.6107  0.3893
Se  0.7500  0.6041  0.3959
Ce  0.9781  0.5115  0.6510
Se  0.7500  0.3893  0.7787
Se  0.0000  0.5000  0.5000
Se  0.2500  0.3959  0.6041
Se  0.7500  0.5871  0.7936
Ce  0.4781  0.4885  0.1395
Se  0.7500  0.2064  0.7936
Ce  0.5219  0.5115  0.8605
Se  0.2500  0.2083  0.6041
Ce  0.4781  0.6510  0.5115

Number 1: calculated formation energy -470 meV per atom. Number 2: calculated formation energy -1239 meV per atom.